# Er2WO6 (meta-GGA r2SCAN, optimized geometry)
# Distance to the lowest polymorph of the same formula, meV per atom: 22
data_Er2WO6
_chemical_formula_sum 'Er8 W4 O24'
_symmetry_space_group_name_H-M 'P 21 21 21'
_symmetry_Int_Tables_number 19
_cell_length_a 5.1690
_cell_length_b 8.9829
_cell_length_c 9.8093
_cell_angle_alpha 90.00
_cell_angle_beta 90.00
_cell_angle_gamma 90.00
loop_
_symmetry_equiv_pos_as_xyz
'x,y,z'
'-x+1/2,-y,z+1/2'
'x+1/2,-y+1/2,-z'
'-x,y+1/2,-z+1/2'
loop_
_atom_site_label
_atom_site_fract_x
_atom_site_fract_y
_atom_site_fract_z
_atom_site_occupancy
Er1 0.0167 0.1035 0.4663 1
Er2 0.0397 0.2193 0.8726 1
W1 0.0380 0.4951 0.3465 1
O1 0.0877 0.8425 0.0309 1
O2 0.1773 0.9540 0.3000 1
O3 0.1787 0.6378 0.8187 1
O4 0.1950 0.6415 0.2351 1
O5 0.2344 0.1149 0.0683 1
O6 0.2470 0.5898 0.4953 1

***

Below is a relaxed Bi2I4O13 crystal, with properties calculated at the meta-GGA r2SCAN level.

```
data_Bi2I4O13
_chemical_formula_sum 'Bi8 I16 O52'
_symmetry_space_group_name_H-M 'P 21 21 21'
_symmetry_Int_Tables_number 19
_cell_length_a 5.7127
_cell_length_b 12.3300
_cell_length_c 16.8753
_cell_angle_alpha 90.00
_cell_angle_beta 90.00
_cell_angle_gamma 90.00
loop_
_symmetry_equiv_pos_as_xyz
'x,y,z'
'-x+1/2,-y,z+1/2'
'x+1/2,-y+1/2,-z'
'-x,y+1/2,-z+1/2'
loop_
_atom_site_label
_atom_site_fract_x
_atom_site_fract_y
_atom_site_fract_z
_atom_site_occupancy
Bi1 0.2150 0.1536 0.1745 1
Bi2 0.2351 0.5121 0.2018 1
I1 0.0627 0.1414 0.9694 1
I2 0.1206 0.5482 0.9277 1
I3 0.1864 0.8287 0.2368 1
I4 0.2370 0.8327 0.9113 1
O1 0.0235 0.0706 0.3981 1
O2 0.0387 0.5078 0.5595 1
O3 0.0417 0.6316 0.4264 1
O4 0.0610 0.1675 0.5570 1
O5 0.0805 0.5362 0.8207 1
O6 0.0855 0.3312 0.2022 1
O7 0.0911 0.8456 0.8149 1
O8 0.0945 0.9444 0.5511 1
O9 0.0943 0.9835 0.2250 1
O10 0.0999 0.2909 0.3912 1
O11 0.1015 0.1532 0.8150 1
O12 0.1345 0.6679 0.2631 1
O13 0.1932 0.7178 0.5602 1
```

***

Below is a relaxed Cu4Bi5S10 crystal, with properties calculated at the meta-GGA r2SCAN level.

```
data_Cu4Bi5S10
_chemical_formula_sum 'Cu8 Bi10 S20'
_symmetry_space_group_name_H-M 'C 1 2/m 1'
_symmetry_Int_Tables_number 12
_cell_length_a 17.5120
_cell_length_b 3.8781
_cell_length_c 12.8714
_cell_angle_alpha 90.00
_cell_angle_beta 107.48
_cell_angle_gamma 90.00
loop_
_symmetry_equiv_pos_as_xyz
'x,y,z'
'-x,-y,-z'
'-x,y,-z'
'x,-y,z'
'x+1/2,y+1/2,z'
'-x+1/2,-y+1/2,-z'
'-x+1/2,y+1/2,-z'
'x+1/2,-y+1/2,z'
loop_
_atom_site_label
_atom_site_fract_x
_atom_site_fract_y
_atom_site_fract_z
_atom_site_occupancy
Cu1 0.0962 0.0000 0.0133 1
Cu2 0.2149 0.5000 0.5535 1
Bi1 0.0000 0.0000 0.5000 1
Bi2 0.0882 0.5000 0.2741 1
Bi3 0.1990 0.0000 0.8371 1
S1 0.0222 0.0000 0.1335 1
S2 0.0418 0.5000 0.6658 1
S3 0.1538 0.0000 0.4734 1
S4 0.1638 0.5000 0.0045 1
S5 0.2415 0.0000 0.2612 1
```

***

Number 1: spin magnetization 0.0 μB/cell, ΔE_f -3.338 eV/atom. Number 2: spin magnetization 0.0 μB/cell, ΔE_f -0.666 eV/atom. Number 3: spin magnetization 0.0 μB/cell, ΔE_f -0.352 eV/atom.